Record 1
{
  "formula": "Pu3Sc",
  "functional": "GGA-PBE",
  "state": "optimized geometry",
  "total_magnetization_mub_per_cell": 5.60,
  "e_form_ev_per_atom": 0.182,
  "lattice_angstrom": [[0.000, 3.546, 3.546], [3.546, 0.000, 3.546], [3.546, 3.546, 0.000]],
  "species": ["Pu", "Pu", "Pu", "Sc"],
  "fractional_positions": [[0.250, 0.250, 0.250], [0.750, 0.750, 0.750], [0.500, 0.500, 0.500], [0.000, 0.000, 0.000]]
}

=====

Record 2
{
  "formula": "Pu3Sc",
  "functional": "GGA-PBE",
  "state": "optimized geometry",
  "total_magnetization_mub_per_cell": 16.10,
  "e_form_ev_per_atom": 0.224,
  "lattice_angstrom": [[-2.289, 2.289, 4.396], [2.289, -2.289, 4.396], [2.289, 2.289, -4.396]],
  "species": ["Pu", "Pu", "Pu", "Sc"],
  "fractional_positions": [[0.750, 0.250, 0.500], [0.250, 0.750, 0.500], [0.500, 0.500, 0.000], [0.000, 0.000, 0.000]]
}

=====

Record 3
{
  "formula": "PuSe2",
  "functional": "GGA-PBE",
  "state": "optimized geometry",
  "energy_mp2020_ev_per_atom": -8.70,
  "e_form_ev_per_atom": -1.617,
  "lattice_angstrom": [[-1.025, -3.689, 1.451], [1.733, -1.765, -3.263], [7.196, -0.409, 4.044]],
  "species": ["Pu", "Pu", "Se", "Se", "Se", "Se"],
  "fractional_positions": [[0.000, 0.500, 0.723], [0.500, 0.000, 0.277], [0.000, 0.500, 0.361], [0.500, 0.000, 0.639], [0.000, 0.000, 0.000], [0.500, 0.500, 0.000]]
}

=====

Record 4
{
  "formula": "PuSi",
  "functional": "GGA-PBE",
  "state": "optimized geometry",
  "energy_mp2020_ev_per_atom": -10.28,
  "e_form_ev_per_atom": -0.436,
  "lattice_angstrom": [[-1.486, 0.615, 3.537], [-5.259, 0.425, -2.282], [-1.024, -7.750, 0.916]],
  "species": ["Pu", "Pu", "Pu", "Pu", "Si", "Si", "Si", "Si"],
  "fractional_positions": [[0.250, 0.394, 0.676], [0.750, 0.606, 0.324], [0.750, 0.894, 0.824], [0.250, 0.106, 0.176], [0.250, 0.882, 0.532], [0.750, 0.118, 0.468], [0.750, 0.382, 0.968], [0.250, 0.618, 0.032]]
}

=====

Record 5
{
  "formula": "Pu2Si4Tc3",
  "functional": "GGA-PBE",
  "state": "optimized geometry",
  "e_form_ev_per_atom": -0.554,
  "lattice_angstrom": [[-0.111, 6.136, -5.313], [2.280, -3.290, -3.848], [-5.147, -2.812, -3.140]],
  "species": ["Pu", "Pu", "Pu", "Pu", "Si", "Si", "Si", "Si", "Si", "Si", "Si", "Si", "Tc", "Tc", "Tc", "Tc", "Tc", "Tc"],
  "fractional_positions": [[0.553, 0.077, 0.270], [0.053, 0.423, 0.730], [0.447, 0.923, 0.730], [0.947, 0.577, 0.270], [0.749, 0.223, 0.584], [0.249, 0.277, 0.416], [0.251, 0.777, 0.416], [0.751, 0.723, 0.584], [0.103, 0.871, 0.866], [0.603, 0.629, 0.134], [0.397, 0.371, 0.866], [0.897, 0.129, 0.134], [0.500, 0.500, 0.500], [0.000, 0.000, 0.500], [0.806, 0.878, 0.898], [0.306, 0.622, 0.102], [0.694, 0.378, 0.898], [0.194, 0.122, 0.102]]
}

=====

Record 6
{
  "formula": "SmPu3",
  "functional": "GGA-PBE",
  "state": "optimized geometry",
  "total_magnetization_mub_per_cell": 17.37,
  "e_form_ev_per_atom": 0.251,
  "lattice_angstrom": [[5.648, -1.027, -0.981], [3.305, 3.172, 3.598], [-4.538, -3.534, 0.919]],
  "species": ["Sm", "Pu", "Pu", "Pu"],
  "fractional_positions": [[0.000, 0.000, 0.000], [0.750, 0.250, 0.500], [0.250, 0.750, 0.500], [0.500, 0.500, 0.000]]
}

=====

Record 7
{
  "formula": "Sm3Pu",
  "functional": "GGA-PBE",
  "state": "optimized geometry",
  "total_magnetization_mub_per_cell": 5.94,
  "e_form_ev_per_atom": 0.091,
  "lattice_angstrom": [[1.780, -3.083, 0.000], [1.780, 3.083, 0.000], [0.000, 0.000, 11.890]],
  "species": ["Sm", "Sm", "Sm", "Pu"],
  "fractional_positions": [[0.333, 0.667, 0.000], [0.000, 0.000, 0.740], [0.000, 0.000, 0.260], [0.667, 0.333, 0.500]]
}

=====

Record 8
{
  "formula": "PuSn2",
  "functional": "GGA-PBE",
  "state": "optimized geometry",
  "e_form_ev_per_atom": -0.399,
  "lattice_angstrom": [[-1.715, -13.987, 4.515], [-3.308, -10.540, 9.845], [-0.611, 12.331, -8.157]],
  "species": ["Pu", "Pu", "Pu", "Pu", "Sn", "Sn", "Sn", "Sn", "Sn", "Sn", "Sn", "Sn"],
  "fractional_positions": [[0.827, 0.327, 0.500], [0.923, 0.923, 0.000], [0.673, 0.173, 0.500], [0.077, 0.077, 0.000], [0.001, 0.501, 0.500], [0.749, 0.749, 0.000], [0.499, 0.999, 0.500], [0.251, 0.251, 0.000], [0.163, 0.663, 0.500], [0.587, 0.587, 0.000], [0.337, 0.837, 0.500], [0.413, 0.413, 0.000]]
}